[1]
VASP calculation (PBE-GGA) on a relaxed structure of BiTeBr.

Unit cell a=4.358 b=4.358 c=6.914 alpha=90.00 beta=90.00 gamma=120.00
Fractional coordinates of all 3 atoms:
Te: 0.333 0.667 0.257
Bi: 0.000 0.000 0.005
Br: 0.667 0.333 0.738

Properties
largest piezoelectric modulus: 0.38 C/m2

***

[2]
VASP calculation (PBE-GGA) on a relaxed structure of La6Ni6P17.

Unit cell a=8.826 b=8.826 c=8.826 alpha=109.47 beta=109.47 gamma=109.47
Fractional coordinates of all 29 atoms:
P: 0.634 0.232 0.000
P: 0.634 0.000 0.232
P: 0.428 0.000 0.000
P: 0.232 0.000 0.634
P: 0.000 0.000 0.428
La: 0.710 0.000 0.710
P: 0.000 0.000 0.000
La: 0.290 0.000 0.290
P: 0.000 0.232 0.634
P: 0.232 0.634 0.000
P: 0.572 0.572 0.572
La: 0.000 0.710 0.710
P: 0.402 0.768 0.768
Ni: 0.750 0.500 0.250
P: 0.366 0.366 0.598
La: 0.290 0.290 0.000
P: 0.000 0.634 0.232
P: 0.366 0.598 0.366
P: 0.768 0.768 0.402
La: 0.000 0.290 0.290
Ni: 0.250 0.750 0.500
P: 0.768 0.402 0.768
Ni: 0.250 0.500 0.750
P: 0.598 0.366 0.366
Ni: 0.500 0.750 0.250
La: 0.710 0.710 0.000
Ni: 0.500 0.250 0.750
P: 0.000 0.428 0.000
Ni: 0.750 0.250 0.500

***

[3]
VASP calculation (PBE-GGA) on a relaxed structure of Si.

Unit cell a=3.867 b=3.867 c=3.867 alpha=60.00 beta=60.00 gamma=60.00
Fractional coordinates of all 2 atoms:
Si: 0.750 0.750 0.750
Si: 0.000 0.000 0.000

Properties
energy above the lowest structure with this stoichiometry: 0.000 eV/atom

***

Calculated formation energy from the elements (eV per atom), listed in the same order as above: -0.6814 -0.9240 0.0000